Record 1
{
  "formula": "Li2ZnCl4",
  "functional": "r²SCAN",
  "state": "optimized geometry",
  "final_energy_ev_per_atom": -7.185,
  "rho_kg_m3": 2700,
  "delta_e_f_ev_per_atom": -1.71,
  "space_group": "Fd-3m (227)",
  "cell": [[-4.170, -0.515, 5.936], [-6.209, -3.779, -0.235], [-0.535, -6.337, 3.528]],
  "species": ["Li", "Li", "Li", "Li", "Zn", "Zn", "Cl", "Cl", "Cl", "Cl", "Cl", "Cl", "Cl", "Cl"],
  "fractional_positions": [[0.125, 0.125, 0.625], [0.125, 0.625, 0.125], [0.125, 0.125, 0.125], [0.625, 0.125, 0.125], [0.500, 0.500, 0.500], [0.750, 0.750, 0.750], [0.365, 0.878, 0.878], [0.372, 0.372, 0.372], [0.878, 0.878, 0.878], [0.885, 0.372, 0.372], [0.372, 0.885, 0.372], [0.372, 0.372, 0.885], [0.878, 0.365, 0.878], [0.878, 0.878, 0.365]]
}

Record 2
{
  "formula": "Hf5Si4",
  "functional": "r²SCAN",
  "state": "optimized geometry",
  "final_energy_ev_per_atom": -29.825,
  "rho_kg_m3": 10523,
  "delta_e_f_ev_per_atom": -0.84,
  "space_group": "P4_12_12 (92)",
  "cell": [[-3.653, -5.799, -1.579], [1.466, -2.652, 6.347], [-10.625, 5.409, 4.714]],
  "species": ["Hf", "Hf", "Hf", "Hf", "Hf", "Hf", "Hf", "Hf", "Hf", "Hf", "Hf", "Hf", "Hf", "Hf", "Hf", "Hf", "Hf", "Hf", "Hf", "Hf", "Si", "Si", "Si", "Si", "Si", "Si", "Si", "Si", "Si", "Si", "Si", "Si", "Si", "Si", "Si", "Si"],
  "fractional_positions": [[0.501, 0.646, 0.626], [0.001, 0.854, 0.124], [0.146, 0.999, 0.376], [0.854, 0.001, 0.876], [0.499, 0.354, 0.126], [0.646, 0.501, 0.374], [0.354, 0.499, 0.874], [0.999, 0.146, 0.624], [0.652, 0.002, 0.283], [0.348, 0.998, 0.783], [0.002, 0.652, 0.717], [0.502, 0.848, 0.033], [0.498, 0.152, 0.533], [0.848, 0.502, 0.967], [0.152, 0.498, 0.467], [0.998, 0.348, 0.217], [0.825, 0.825, 0.500], [0.675, 0.325, 0.750], [0.325, 0.675, 0.250], [0.175, 0.175, 0.000], [0.647, 0.704, 0.823], [0.353, 0.296, 0.323], [0.704, 0.647, 0.177], [0.204, 0.853, 0.573], [0.796, 0.147, 0.073], [0.853, 0.204, 0.427], [0.147, 0.796, 0.927], [0.296, 0.353, 0.677], [0.698, 0.951, 0.687], [0.302, 0.049, 0.187], [0.951, 0.698, 0.313], [0.451, 0.802, 0.437], [0.549, 0.198, 0.937], [0.802, 0.451, 0.563], [0.198, 0.549, 0.063], [0.049, 0.302, 0.813]]
}

Record 3
{
  "formula": "MnBe3",
  "functional": "r²SCAN",
  "state": "optimized geometry",
  "final_energy_ev_per_atom": -7.065,
  "rho_kg_m3": 3959,
  "delta_e_f_ev_per_atom": -0.14,
  "space_group": "Pm-3m (221)",
  "cell": [[3.252, 0.000, 0.000], [0.000, 3.252, 0.000], [0.000, 0.000, 3.252]],
  "species": ["Mn", "Be", "Be", "Be"],
  "fractional_positions": [[0.000, 0.000, 0.000], [0.000, 0.500, 0.500], [0.500, 0.000, 0.500], [0.500, 0.500, 0.000]]
}